The following is a PBE-GGA calculation of a geometry-optimized BaLa2Si2S8 structure, from Materials Project.

POSCAR file:
```
BaLa2Si2S8
1.0
7.9853 -4.6618 0.0000
7.9853 4.6618 0.0000
-5.1310 0.0000 9.1607
Ba La Si S
2 4 4 16
Direct
0.0868 0.9132 0.5000
0.9132 0.0868 0.0000
0.2256 0.4162 0.9972
0.4162 0.2256 0.4972
0.6044 0.7235 0.9960
0.7235 0.6044 0.4960
0.0085 0.4995 0.2687
0.3395 0.8204 0.2286
0.4995 0.0085 0.7687
0.8204 0.3395 0.7286
0.0492 0.1497 0.8164
0.0800 0.5640 0.5022
0.1497 0.0492 0.3164
0.2255 0.2868 0.2019
0.2703 0.7292 0.9950
0.2868 0.2255 0.7019
0.3919 0.6119 0.3009
0.4576 0.7766 0.6950
0.5601 0.8850 0.3006
0.5640 0.0800 0.0022
0.6119 0.3919 0.8009
0.6923 0.9536 0.6743
0.7292 0.2703 0.4950
0.7766 0.4576 0.1950
0.8850 0.5601 0.8006
0.9536 0.6923 0.1743
```

Total energy: -5.846 eV per atom
Calculated volume: 26.23 Å³/atom
E (MP2020): -6.156 eV/atom
ΔH_f (0 K): -1.869 eV/atom
Space group: Cc, No. 9
Total moment: 0.003 μB per cell